(1)
# r²SCAN KGaSb4, relaxed
# Size of the total moment ... 0.0 Bohr magnetons per cell
data_KGaSb4
_chemical_formula_sum 'K4 Ga4 Sb16'
_cell_length_a 10.5025
_cell_length_b 4.2428
_cell_length_c 17.9941
_cell_angle_alpha 90.00
_cell_angle_beta 90.00
_cell_angle_gamma 90.00
_space_group_name_H-M_alt 'P 1'
_space_group_IT_number 1
loop_
_space_group_symop_operation_xyz
'x,y,z'
loop_
_atom_site_label
_atom_site_fract_x
_atom_site_fract_y
_atom_site_fract_z
K1 0.1800 0.2500 0.0661
K2 0.3200 0.7500 0.5661
K3 0.6800 0.2500 0.4339
K4 0.8200 0.7500 0.9339
Ga1 0.1827 0.7500 0.3692
Ga2 0.3173 0.2500 0.8692
Ga3 0.6827 0.7500 0.1308
Ga4 0.8173 0.2500 0.6308
Sb1 0.0326 0.2500 0.5506
Sb2 0.0698 0.7500 0.7514
Sb3 0.1117 0.7500 0.2265
Sb4 0.1706 0.7500 0.8983
Sb5 0.3294 0.2500 0.3983
Sb6 0.3883 0.2500 0.7265
Sb7 0.4302 0.2500 0.2514
Sb8 0.4674 0.7500 0.0506
Sb9 0.5326 0.2500 0.9494
Sb10 0.5698 0.7500 0.7486
Sb11 0.6117 0.7500 0.2735
Sb12 0.6706 0.7500 0.6017
Sb13 0.8294 0.2500 0.1017
Sb14 0.8883 0.2500 0.7735
Sb15 0.9302 0.2500 0.2486
Sb16 0.9674 0.7500 0.4494

***

(2)
# r²SCAN YbTmZn2, relaxed
# Size of the total moment ... 0.0 Bohr magnetons per cell
data_YbTmZn2
_chemical_formula_sum 'Yb1 Tm1 Zn2'
_cell_length_a 4.9280
_cell_length_b 4.9280
_cell_length_c 4.9280
_cell_angle_alpha 60.00
_cell_angle_beta 60.00
_cell_angle_gamma 60.00
_space_group_name_H-M_alt 'P 1'
_space_group_IT_number 1
loop_
_space_group_symop_operation_xyz
'x,y,z'
loop_
_atom_site_label
_atom_site_fract_x
_atom_site_fract_y
_atom_site_fract_z
Yb1 0.0000 0.0000 0.0000
Tm1 0.5000 0.5000 0.5000
Zn1 0.2500 0.2500 0.2500
Zn2 0.7500 0.7500 0.7500

***

(3)
# r²SCAN K3IrCl6, relaxed
# Size of the total moment ... 0.0 Bohr magnetons per cell
data_K3IrCl6
_chemical_formula_sum 'K12 Ir4 Cl24'
_cell_length_a 12.5741
_cell_length_b 7.4869
_cell_length_c 11.9160
_cell_angle_alpha 90.00
_cell_angle_beta 108.19
_cell_angle_gamma 90.00
_space_group_name_H-M_alt 'P 1'
_space_group_IT_number 1
loop_
_space_group_symop_operation_xyz
'x,y,z'
loop_
_atom_site_label
_atom_site_fract_x
_atom_site_fract_y
_atom_site_fract_z
K1 0.0976 0.0441 0.3570
K2 0.0976 0.4559 0.8570
K3 0.3175 0.5703 0.2661
K4 0.3175 0.9297 0.7661
K5 0.3181 0.0672 0.1140
K6 0.3181 0.4328 0.6140
K7 0.6819 0.5672 0.3860
K8 0.6819 0.9328 0.8860
K9 0.6825 0.0703 0.2339
K10 0.6825 0.4297 0.7339
K11 0.9024 0.5441 0.1430
K12 0.9024 0.9559 0.6430
Ir1 0.0000 0.0000 0.0000
Ir2 0.0000 0.5000 0.5000
Ir3 0.5000 0.0000 0.5000
Ir4 0.5000 0.5000 0.0000
Cl1 0.0916 0.2405 0.6006
Cl2 0.0916 0.2595 0.1006
Cl3 0.1177 0.0027 0.8792
Cl4 0.1177 0.4973 0.3792
Cl5 0.1242 0.6873 0.6406
Cl6 0.1242 0.8127 0.1406
Cl7 0.3520 0.6927 0.0053
Cl8 0.3520 0.8073 0.5053
Cl9 0.3595 0.2050 0.3970
Cl10 0.3595 0.2950 0.8970
Cl11 0.4994 0.1298 0.6809
Cl12 0.4994 0.3702 0.1809
Cl13 0.5006 0.6298 0.8191
Cl14 0.5006 0.8702 0.3191
Cl15 0.6405 0.7050 0.1030
Cl16 0.6405 0.7950 0.6030
Cl17 0.6480 0.1927 0.4947
Cl18 0.6480 0.3073 0.9947
Cl19 0.8758 0.1873 0.8594
Cl20 0.8758 0.3127 0.3594
Cl21 0.8823 0.5027 0.6208
Cl22 0.8823 0.9973 0.1208
Cl23 0.9084 0.7405 0.8994
Cl24 0.9084 0.7595 0.3994

***

(4)
# r²SCAN PrZnGe, relaxed
# Size of the total moment ... 0.0 Bohr magnetons per cell
data_PrZnGe
_chemical_formula_sum 'Pr4 Zn4 Ge4'
_cell_length_a 4.2612
_cell_length_b 4.2612
_cell_length_c 16.9694
_cell_angle_alpha 90.00
_cell_angle_beta 90.00
_cell_angle_gamma 120.00
_space_group_name_H-M_alt 'P 1'
_space_group_IT_number 1
loop_
_space_group_symop_operation_xyz
'x,y,z'
loop_
_atom_site_label
_atom_site_fract_x
_atom_site_fract_y
_atom_site_fract_z
Pr1 0.0000 0.0000 0.0000
Pr2 0.0000 0.0000 0.2500
Pr3 0.0000 0.0000 0.5000
Pr4 0.0000 0.0000 0.7500
Zn1 0.3333 0.6667 0.1382
Zn2 0.3333 0.6667 0.3618
Zn3 0.6667 0.3333 0.6382
Zn4 0.6667 0.3333 0.8618
Ge1 0.3333 0.6667 0.6178
Ge2 0.3333 0.6667 0.8822
Ge3 0.6667 0.3333 0.1178
Ge4 0.6667 0.3333 0.3822

***

(5)
# r²SCAN YbTe4Pb3, relaxed
# Size of the total moment ... 0.0 Bohr magnetons per cell
data_YbTe4Pb3
_chemical_formula_sum 'Yb1 Te4 Pb3'
_cell_length_a 8.2321
_cell_length_b 8.2321
_cell_length_c 8.3841
_cell_angle_alpha 105.99
_cell_angle_beta 105.99
_cell_angle_gamma 30.07
_space_group_name_H-M_alt 'P 1'
_space_group_IT_number 1
loop_
_space_group_symop_operation_xyz
'x,y,z'
loop_
_atom_site_label
_atom_site_fract_x
_atom_site_fract_y
_atom_site_fract_z
Yb1 0.0000 0.0000 0.0000
Te1 0.1268 0.1268 0.3562
Te2 0.3907 0.3907 0.1062
Te3 0.6093 0.6093 0.8938
Te4 0.8732 0.8732 0.6438
Pb1 0.2529 0.2529 0.7487
Pb2 0.5000 0.5000 0.5000
Pb3 0.7471 0.7471 0.2513

***

(6)
# r²SCAN Ba5CrN5, relaxed
# Size of the total moment ... 0.0 Bohr magnetons per cell
data_Ba5CrN5
_chemical_formula_sum 'Ba10 Cr2 N10'
_cell_length_a 7.9473
_cell_length_b 7.9473
_cell_length_c 9.4846
_cell_angle_alpha 103.79
_cell_angle_beta 103.79
_cell_angle_gamma 96.08
_space_group_name_H-M_alt 'P 1'
_space_group_IT_number 1
loop_
_space_group_symop_operation_xyz
'x,y,z'
loop_
_atom_site_label
_atom_site_fract_x
_atom_site_fract_y
_atom_site_fract_z
Ba1 0.0748 0.0748 0.2014
Ba2 0.0938 0.5633 0.2429
Ba3 0.3363 0.3363 0.0072
Ba4 0.3885 0.3885 0.6167
Ba5 0.4367 0.9062 0.7571
Ba6 0.5633 0.0938 0.2429
Ba7 0.6115 0.6115 0.3833
Ba8 0.6637 0.6637 0.9928
Ba9 0.9062 0.4367 0.7571
Ba10 0.9252 0.9252 0.7986
Cr1 0.2424 0.7576 0.0000
Cr2 0.7576 0.2424 0.0000
N1 0.0249 0.7173 0.0082
N2 0.2697 0.6136 0.8396
N3 0.2827 0.9751 0.9918
N4 0.3490 0.3490 0.3118
N5 0.3864 0.7303 0.1604
N6 0.6136 0.2697 0.8396
N7 0.6510 0.6510 0.6882
N8 0.7173 0.0249 0.0082
N9 0.7303 0.3864 0.1604
N10 0.9751 0.2827 0.9918

***

VASP energy list, top to bottom, in eV/atom: -20.3596, -22.7763, -12.3173, -18.1822, -39.1047, -18.4310
Calculated density list, top to bottom, in Mg/m³: 4.94, 9.28, 3.25, 6.94, 7.94, 4.83